Entry 1:
Entry from the Materials Project: a geometry-optimized Zr11VO24 structure (GGA+U).

Calculated total energy: -0.68424 Ry per atom
Offset from the most stable computed form: 30 meV per atom
Volume: 420.27 Å³/cell

Lattice parameters (Å, degrees): 7.2965 10.8654 5.3012 90.00 90.00 90.00
Fractional positions:
Zr 0.0000 0.0000 0.0000
Zr 0.0000 0.3356 0.0258
Zr 0.0000 0.6644 0.0258
Zr 0.2469 0.1668 0.5181
Zr 0.2469 0.8332 0.5181
Zr 0.2545 0.5000 0.5256
Zr 0.5000 0.3278 0.0239
Zr 0.5000 0.6722 0.0239
Zr 0.7455 0.5000 0.5256
Zr 0.7531 0.1668 0.5181
Zr 0.7531 0.8332 0.5181
V 0.5000 0.0000 0.0385
O 0.0000 0.1541 0.3116
O 0.0000 0.1752 0.8175
O 0.0000 0.5000 0.3338
O 0.0000 0.5000 0.8228
O 0.0000 0.8248 0.8175
O 0.0000 0.8459 0.3116
O 0.2158 0.0000 0.6967
O 0.2453 0.3333 0.2210
O 0.2453 0.6667 0.2210
O 0.2641 0.3315 0.7217
O 0.2641 0.6685 0.7217
O 0.2719 0.0000 0.1946
O 0.5000 0.1480 0.8441
O 0.5000 0.1800 0.3414
O 0.5000 0.5000 0.3248
O 0.5000 0.5000 0.8341
O 0.5000 0.8200 0.3414
O 0.5000 0.8520 0.8441
O 0.7281 0.0000 0.1946
O 0.7359 0.3315 0.7217
O 0.7359 0.6685 0.7217
O 0.7547 0.3333 0.2210
O 0.7547 0.6667 0.2210
O 0.7842 0.0000 0.6967



Entry 2:
Entry from the Materials Project: a geometry-optimized Zr9VO20 structure (GGA+U).

Calculated total energy: -0.68145 Ry per atom
Volume: 350.26 Å³/cell

Lattice parameters (Å, degrees): 6.4749 7.3592 8.1110 77.07 75.50 71.41
Fractional positions:
Zr 0.0000 0.0000 0.0000
Zr 0.0006 0.5005 0.0035
Zr 0.2071 0.7956 0.5984
Zr 0.2197 0.2826 0.6079
Zr 0.4050 0.5891 0.2059
Zr 0.4129 0.0942 0.1979
Zr 0.6063 0.3973 0.8081
Zr 0.8117 0.6946 0.4095
Zr 0.8176 0.1933 0.4007
V 0.6025 0.8878 0.8084
O 0.0364 0.1653 0.1621
O 0.0935 0.7204 0.1353
O 0.1294 0.5626 0.4611
O 0.1891 0.1230 0.4383
O 0.2048 0.9786 0.7597
O 0.2937 0.5179 0.7411
O 0.3176 0.3778 0.0707
O 0.4120 0.9103 0.0265
O 0.4267 0.7727 0.3629
O 0.4962 0.3129 0.3501
O 0.5348 0.1442 0.6772
O 0.5914 0.7320 0.6551
O 0.6339 0.5587 0.9749
O 0.6826 0.1293 0.9575
O 0.7241 0.9712 0.2651
O 0.7986 0.5131 0.2458
O 0.8079 0.3799 0.5663
O 0.8967 0.7833 0.8605
O 0.9076 0.9092 0.5226
O 0.9947 0.3188 0.8405



Question: Which of these has the lowest calculated total energy?
Answer: Zr11VO24



Question: Among the records above, which one has the lowest volume?
Answer: Zr9VO20



What did the first record say?
Entry from the Materials Project: a geometry-optimized Zr11VO24 structure (GGA+U).

Calculated total energy: -0.68424 Ry per atom
Offset from the most stable computed form: 30 meV per atom
Volume: 420.27 Å³/cell

Lattice parameters (Å, degrees): 7.2965 10.8654 5.3012 90.00 90.00 90.00
Fractional positions:
Zr 0.0000 0.0000 0.0000
Zr 0.0000 0.3356 0.0258
Zr 0.0000 0.6644 0.0258
Zr 0.2469 0.1668 0.5181
Zr 0.2469 0.8332 0.5181
Zr 0.2545 0.5000 0.5256
Zr 0.5000 0.3278 0.0239
Zr 0.5000 0.6722 0.0239
Zr 0.7455 0.5000 0.5256
Zr 0.7531 0.1668 0.5181
Zr 0.7531 0.8332 0.5181
V 0.5000 0.0000 0.0385
O 0.0000 0.1541 0.3116
O 0.0000 0.1752 0.8175
O 0.0000 0.5000 0.3338
O 0.0000 0.5000 0.8228
O 0.0000 0.8248 0.8175
O 0.0000 0.8459 0.3116
O 0.2158 0.0000 0.6967
O 0.2453 0.3333 0.2210
O 0.2453 0.6667 0.2210
O 0.2641 0.3315 0.7217
O 0.2641 0.6685 0.7217
O 0.2719 0.0000 0.1946
O 0.5000 0.1480 0.8441
O 0.5000 0.1800 0.3414
O 0.5000 0.5000 0.3248
O 0.5000 0.5000 0.8341
O 0.5000 0.8200 0.3414
O 0.5000 0.8520 0.8441
O 0.7281 0.0000 0.1946
O 0.7359 0.3315 0.7217
O 0.7359 0.6685 0.7217
O 0.7547 0.3333 0.2210
O 0.7547 0.6667 0.2210
O 0.7842 0.0000 0.6967